# SbO2, optimized geometry, DFT PBE
data_SbO2
_chemical_formula_sum 'Sb8 O16'
_symmetry_space_group_name_H-M 'I m m a'
_symmetry_Int_Tables_number 74
_symmetry_space_group_name_Hall '-I 2b 2'
_cell_length_a 6.3822
_cell_length_b 7.3418
_cell_length_c 7.5470
_cell_angle_alpha 90.00
_cell_angle_beta 90.00
_cell_angle_gamma 90.00
loop_
_atom_site_label
_atom_site_type_symbol
_atom_site_fract_x
_atom_site_fract_y
_atom_site_fract_z
Sb1 Sb 0.0000 0.2500 0.1839
Sb2 Sb 0.2500 0.2500 0.7500
O1 O 0.0000 0.0710 0.7516
O2 O 0.2418 0.2500 0.0141
# * mass density: 5.78 g cm⁻³
# * spin magnetization: 0.0 μB per formula unit

=====

# ZrCoSi, optimized geometry, DFT PBE
data_ZrCoSi
_chemical_formula_sum 'Zr4 Co4 Si4'
_symmetry_space_group_name_H-M 'P n m a'
_symmetry_Int_Tables_number 62
_symmetry_space_group_name_Hall '-P 2ac 2n'
_cell_length_a 6.4857
_cell_length_b 3.8706
_cell_length_c 7.1442
_cell_angle_alpha 90.00
_cell_angle_beta 90.00
_cell_angle_gamma 90.00
loop_
_atom_site_label
_atom_site_type_symbol
_atom_site_fract_x
_atom_site_fract_y
_atom_site_fract_z
Zr1 Zr 0.0060 0.2500 0.1940
Co1 Co 0.1447 0.2500 0.5699
Si1 Si 0.2156 0.7500 0.3960
# * mass density: 6.60 g cm⁻³

=====

Total DFT energy (no corrections) values, unit eV/atom, following the record order: -5.917, -7.885.
Volume values, unit A^3/atom, following the record order: 14.7, 14.9.